VASP calculation (GGA-PBE) on a geometry-optimized Si18O29 structure.

Cell lengths 14.4417, 13.9660, 19.0679 Å; angles 90.00, 76.19, 90.00 degrees
Positions (direct):
O: 0.6746 0.7730 0.0979
O: 0.0000 0.2512 0.5000
O: 0.3229 0.7746 0.1504
O: 0.2811 0.9004 0.4551
O: 0.4118 0.0000 0.6927
O: 0.8943 0.0000 0.6754
O: 0.2581 0.2791 0.2868
O: 0.3169 0.9071 0.8090
O: 0.9575 0.5940 0.7281
O: 0.4315 0.0000 0.4017
O: 0.8710 0.7583 0.7820
O: 0.7189 0.0996 0.5449
O: 0.5000 0.2501 0.5000
O: 0.8289 0.5000 0.8234
O: 0.5749 0.7488 0.2259
O: 0.7775 0.5000 0.1530
O: 0.4251 0.2512 0.7741
O: 0.0603 0.2629 0.7616
O: 0.5685 0.0000 0.5983
O: 0.9240 0.0000 0.3227
O: 0.1290 0.2417 0.2180
O: 0.2244 0.0000 0.7240
O: 0.8543 0.1747 0.5922
O: 0.5007 0.3091 0.8962
O: 0.2225 0.5000 0.8470
O: 0.6849 0.2408 0.4496
O: 0.9776 0.9059 0.4263
O: 0.3299 0.5926 0.9253
O: 0.6771 0.7746 0.8496
O: 0.7617 0.0961 0.7651
O: 0.1290 0.7583 0.2180
O: 0.0134 0.7422 0.3543
O: 0.7659 0.2566 0.2104
O: 0.7659 0.7434 0.2104
O: 0.1457 0.1747 0.4078
O: 0.0310 0.5000 0.8232
O: 0.0425 0.5940 0.2719
O: 0.7756 0.0000 0.2760
O: 0.4560 0.5915 0.6900
O: 0.5841 0.2438 0.3576
O: 0.0760 0.0000 0.6773
O: 0.2902 0.0000 0.3357
O: 0.5000 0.7499 0.5000
O: 0.9776 0.0941 0.4263
O: 0.3758 0.7090 0.0200
O: 0.0224 0.0941 0.5737
O: 0.0603 0.7371 0.7616
O: 0.6701 0.5926 0.0747
O: 0.5852 0.7286 0.6689
O: 0.3151 0.2408 0.5504
O: 0.4993 0.3091 0.1038
O: 0.3169 0.0929 0.8090
O: 0.7617 0.9039 0.7651
O: 0.1457 0.8253 0.4078
O: 0.3381 0.4091 0.1349
O: 0.4213 0.0901 0.5656
O: 0.6619 0.5910 0.8651
O: 0.8543 0.8253 0.5922
O: 0.7189 0.9004 0.5449
O: 0.0425 0.4060 0.2719
O: 0.0134 0.2578 0.3543
O: 0.0000 0.7488 0.5000
O: 0.0224 0.9059 0.5737
O: 0.5882 0.0000 0.3073
O: 0.1057 0.0000 0.3246
O: 0.4159 0.2438 0.6424
O: 0.6701 0.4074 0.0747
O: 0.5780 0.5000 0.1876
O: 0.4560 0.4085 0.6900
O: 0.7098 0.0000 0.6643
O: 0.5749 0.2512 0.2259
O: 0.6771 0.2254 0.8496
O: 0.4251 0.7488 0.7741
O: 0.5787 0.9099 0.4344
O: 0.3381 0.5910 0.1349
O: 0.5007 0.6909 0.8962
O: 0.1711 0.5000 0.1766
O: 0.6831 0.9071 0.1910
O: 0.9690 0.5000 0.1768
O: 0.4159 0.7562 0.6424
O: 0.5440 0.5915 0.3100
O: 0.2383 0.9039 0.2349
O: 0.4148 0.2714 0.3311
O: 0.6619 0.4091 0.8651
O: 0.3254 0.2270 0.9021
O: 0.2383 0.0961 0.2349
O: 0.2341 0.7434 0.7896
O: 0.4220 0.5000 0.8124
O: 0.3151 0.7592 0.5504
O: 0.7419 0.7209 0.7132
O: 0.6242 0.2910 0.9800
O: 0.5841 0.7562 0.3576
O: 0.9397 0.7371 0.2384
O: 0.4213 0.9099 0.5656
O: 0.9866 0.7422 0.6457
O: 0.9866 0.2578 0.6457
O: 0.8710 0.2417 0.7820
O: 0.9575 0.4060 0.7281
O: 0.3758 0.2910 0.0200
O: 0.6242 0.7090 0.9800
O: 0.9397 0.2629 0.2384
O: 0.4993 0.6909 0.1038
O: 0.3229 0.2254 0.1504
O: 0.2811 0.0996 0.4551
O: 0.5787 0.0901 0.4344
O: 0.3299 0.4074 0.9253
O: 0.4148 0.7286 0.3311
O: 0.5852 0.2714 0.6689
O: 0.2581 0.7209 0.2868
O: 0.7419 0.2791 0.7132
O: 0.6746 0.2270 0.0979
O: 0.5440 0.4085 0.3100
O: 0.6849 0.7592 0.4496
O: 0.2341 0.2566 0.7896
O: 0.6831 0.0929 0.1910
O: 0.3254 0.7730 0.9021
Si: 0.8476 0.5000 0.2130
Si: 0.6137 0.6909 0.8983
Si: 0.3222 0.7926 0.8182
Si: 0.2043 0.2007 0.5897
Si: 0.3857 0.6914 0.9349
Si: 0.4908 0.5000 0.7308
Si: 0.6831 0.0000 0.2412
Si: 0.4725 0.7056 0.6952
Si: 0.8271 0.6975 0.2669
Si: 0.9669 0.8035 0.5785
Si: 0.4159 0.2055 0.5635
Si: 0.3075 0.3215 0.3499
Si: 0.3863 0.6909 0.1017
Si: 0.5275 0.7056 0.3048
Si: 0.5841 0.2055 0.4365
Si: 0.9989 0.0000 0.3740
Si: 0.7758 0.7958 0.5450
Si: 0.0333 0.2900 0.2692
Si: 0.1729 0.3025 0.7331
Si: 0.3180 0.0000 0.4128
Si: 0.5841 0.7945 0.4365
Si: 0.0331 0.8035 0.4215
Si: 0.3857 0.3086 0.9349
Si: 0.5275 0.2944 0.3048
Si: 0.4561 0.0000 0.6065
Si: 0.3863 0.3091 0.1017
Si: 0.4725 0.2944 0.6952
Si: 0.7622 0.2108 0.7774
Si: 0.1729 0.6975 0.7331
Si: 0.6778 0.2074 0.1818
Si: 0.9424 0.5000 0.7799
Si: 0.2378 0.7892 0.2226
Si: 0.6770 0.5000 0.1244
Si: 0.4159 0.7945 0.5635
Si: 0.0333 0.7100 0.2692
Si: 0.2242 0.2042 0.4550
Si: 0.7823 0.0000 0.7171
Si: 0.7758 0.2042 0.5450
Si: 0.1937 0.0000 0.6457
Si: 0.0011 0.0000 0.6260
Si: 0.0331 0.1965 0.4215
Si: 0.3230 0.5000 0.8756
Si: 0.3075 0.6785 0.3499
Si: 0.8063 0.0000 0.3543
Si: 0.7957 0.2007 0.4103
Si: 0.6143 0.6914 0.0651
Si: 0.6820 0.0000 0.5872
Si: 0.5439 0.0000 0.3935
Si: 0.9667 0.2900 0.7308
Si: 0.3338 0.5000 0.2991
Si: 0.6925 0.3215 0.6501
Si: 0.6137 0.3091 0.8983
Si: 0.3222 0.2074 0.8182
Si: 0.9667 0.7100 0.7308
Si: 0.5092 0.5000 0.2692
Si: 0.6925 0.6785 0.6501
Si: 0.8271 0.3025 0.2669
Si: 0.2043 0.7993 0.5897
Si: 0.6143 0.3086 0.0651
Si: 0.7957 0.7993 0.4103
Si: 0.2854 0.5000 0.1814
Si: 0.1524 0.5000 0.7870
Si: 0.0576 0.5000 0.2201
Si: 0.6662 0.5000 0.7009
Si: 0.9669 0.1965 0.5785
Si: 0.3169 0.0000 0.7588
Si: 0.2177 0.0000 0.2829
Si: 0.7622 0.7892 0.7774
Si: 0.7146 0.5000 0.8186
Si: 0.2242 0.7958 0.4550
Si: 0.6778 0.7926 0.1818
Si: 0.2378 0.2108 0.2226

ΔE_f: -64.9 kcal/mol of atoms
Calculated total energy: -1413.995 eV for the cell shown
Crystal system: monoclinic